Material: La2TeI2
Method: DFT, GGA-PBE
State: relaxed Values from VASP.

Results
Energy of formation (eV/atom): -1.670
V (A^3/atom): 40.061
Symmetry: No. 166
E (Ha/atom): -0.1739

Quantum ESPRESSO input file:
```
&SYSTEM
  ibrav = 0, nat = 5, ntyp = 3
/
ATOMIC_SPECIES
La 138.91 La.upf
Te 127.60 Te.upf
I 126.90 I.upf
ATOMIC_POSITIONS crystal
La 0.114 0.114 0.114
La 0.886 0.886 0.886
Te 0.500 0.500 0.500
I 0.280 0.280 0.280
I 0.720 0.720 0.720
CELL_PARAMETERS angstrom
2.269 1.310 11.231
-2.269 1.310 11.231
0.000 -2.620 11.231
```

***

Material: LiIO3
Method: DFT, GGA-PBE
State: relaxed Values from VASP.

Results
Energy of formation (eV/atom): -1.135
V (A^3/atom): 11.402
Total magnetization (μB/f.u.): 0.0
Symmetry: No. 182
E (Ha/atom): -0.1609

Quantum ESPRESSO input file:
```
&SYSTEM
  ibrav = 0, nat = 10, ntyp = 3
/
ATOMIC_SPECIES
Li 6.94 Li.upf
I 126.90 I.upf
O 16.00 O.upf
ATOMIC_POSITIONS crystal
Li 0.000 0.000 0.250
Li 0.000 0.000 0.750
I 0.333 0.667 0.250
I 0.667 0.333 0.750
O 0.000 0.330 0.000
O 0.000 0.670 0.500
O 0.330 0.000 0.000
O 0.330 0.330 0.500
O 0.670 0.000 0.500
O 0.670 0.670 0.000
CELL_PARAMETERS angstrom
5.231 0.000 0.000
-2.615 4.530 0.000
0.000 0.000 4.812
```

***

Material: LiIO3
Method: DFT, GGA-PBE
State: relaxed Values from VASP.

Results
Energy of formation (eV/atom): -0.518
V (A^3/atom): 9.965
Total magnetization (μB/f.u.): 0.0
Symmetry: No. 194
E (Ha/atom): -0.1382

Quantum ESPRESSO input file:
```
&SYSTEM
  ibrav = 0, nat = 10, ntyp = 3
/
ATOMIC_SPECIES
Li 6.94 Li.upf
I 126.90 I.upf
O 16.00 O.upf
ATOMIC_POSITIONS crystal
Li 0.000 0.000 0.000
Li 0.000 0.000 0.500
I 0.333 0.667 0.250
I 0.667 0.333 0.750
O 0.188 0.375 0.750
O 0.188 0.812 0.750
O 0.375 0.188 0.250
O 0.625 0.812 0.750
O 0.812 0.188 0.250
O 0.812 0.625 0.250
CELL_PARAMETERS angstrom
5.699 0.000 0.000
-2.849 4.935 0.000
0.000 0.000 3.543
```

***

Material: LiIO4
Method: DFT, GGA-PBE
State: relaxed Values from VASP.

Results
Energy of formation (eV/atom): -1.097
V (A^3/atom): 16.580
Excess energy over the best structure of this formula in the dataset (eV/atom): 0.021
Total magnetization (μB/f.u.): 0.0
Symmetry: No. 14
E (Ha/atom): -0.1657

Quantum ESPRESSO input file:
```
&SYSTEM
  ibrav = 0, nat = 24, ntyp = 3
/
ATOMIC_SPECIES
Li 6.94 Li.upf
I 126.90 I.upf
O 16.00 O.upf
ATOMIC_POSITIONS crystal
Li 0.210 0.050 0.144
Li 0.210 0.450 0.644
Li 0.790 0.550 0.356
Li 0.790 0.950 0.856
I 0.347 0.711 0.954
I 0.347 0.789 0.454
I 0.653 0.211 0.546
I 0.653 0.289 0.046
O 0.138 0.612 0.788
O 0.138 0.888 0.288
O 0.183 0.610 0.467
O 0.183 0.890 0.967
O 0.337 0.240 0.063
O 0.337 0.260 0.563
O 0.395 0.598 0.127
O 0.395 0.902 0.627
O 0.605 0.098 0.373
O 0.605 0.402 0.873
O 0.663 0.740 0.437
O 0.663 0.760 0.937
O 0.817 0.110 0.033
O 0.817 0.390 0.533
O 0.862 0.112 0.712
O 0.862 0.388 0.212
CELL_PARAMETERS angstrom
5.344 0.000 0.000
0.000 8.660 0.000
-2.774 0.000 8.599
```

***

Material: LiIO3
Method: DFT, GGA-PBE
State: relaxed Values from VASP.

Results
Energy of formation (eV/atom): -1.386
V (A^3/atom): 15.512
Symmetry: No. 86
E (Ha/atom): -0.1701

Quantum ESPRESSO input file:
```
&SYSTEM
  ibrav = 0, nat = 40, ntyp = 3
/
ATOMIC_SPECIES
Li 6.94 Li.upf
I 126.90 I.upf
O 16.00 O.upf
ATOMIC_POSITIONS crystal
Li 0.069 0.228 0.099
Li 0.228 0.431 0.401
Li 0.272 0.069 0.401
Li 0.431 0.272 0.099
Li 0.569 0.728 0.901
Li 0.728 0.931 0.599
Li 0.772 0.569 0.599
Li 0.931 0.772 0.901
I 0.032 0.739 0.384
I 0.239 0.968 0.884
I 0.261 0.532 0.884
I 0.468 0.761 0.384
I 0.532 0.239 0.616
I 0.739 0.468 0.116
I 0.761 0.032 0.116
I 0.968 0.261 0.616
O 0.054 0.346 0.836
O 0.084 0.296 0.395
O 0.119 0.836 0.945
O 0.154 0.054 0.664
O 0.164 0.619 0.445
O 0.204 0.084 0.105
O 0.296 0.416 0.105
O 0.336 0.881 0.445
O 0.346 0.446 0.664
O 0.381 0.664 0.945
O 0.416 0.204 0.395
O 0.446 0.154 0.836
O 0.554 0.846 0.164
O 0.584 0.796 0.605
O 0.619 0.336 0.055
O 0.654 0.554 0.336
O 0.664 0.119 0.555
O 0.704 0.584 0.895
O 0.796 0.916 0.895
O 0.836 0.381 0.555
O 0.846 0.946 0.336
O 0.881 0.164 0.055
O 0.916 0.704 0.605
O 0.946 0.654 0.164
CELL_PARAMETERS angstrom
9.982 0.000 0.000
0.000 9.982 0.000
0.000 0.000 6.227
```

***

Material: LiIO3
Method: DFT, GGA-PBE
State: relaxed Values from VASP.

Results
Energy of formation (eV/atom): -1.047
V (A^3/atom): 15.985
Total magnetization (μB/f.u.): 0.0
Symmetry: No. 63
E (Ha/atom): -0.1577

Quantum ESPRESSO input file:
```
&SYSTEM
  ibrav = 0, nat = 10, ntyp = 3
/
ATOMIC_SPECIES
Li 6.94 Li.upf
I 126.90 I.upf
O 16.00 O.upf
ATOMIC_POSITIONS crystal
Li 0.000 0.000 0.000
Li 0.000 0.000 0.500
I 0.219 0.781 0.750
I 0.781 0.219 0.250
O 0.090 0.305 0.250
O 0.189 0.811 0.250
O 0.305 0.090 0.750
O 0.695 0.910 0.250
O 0.811 0.189 0.750
O 0.910 0.695 0.750
CELL_PARAMETERS angstrom
3.361 -5.687 0.000
3.361 5.687 0.000
0.000 0.000 4.182
```

***

Material: LiIO3
Method: DFT, GGA-PBE
State: relaxed Values from VASP.

Results
Energy of formation (eV/atom): -1.377
V (A^3/atom): 14.042
Symmetry: No. 173
Piezoelectric modulus e_max (C/m2): 1.334
E (Ha/atom): -0.1698

Quantum ESPRESSO input file:
```
&SYSTEM
  ibrav = 0, nat = 10, ntyp = 3
/
ATOMIC_SPECIES
Li 6.94 Li.upf
I 126.90 I.upf
O 16.00 O.upf
ATOMIC_POSITIONS crystal
Li 0.000 0.000 0.000
Li 0.000 0.000 0.500
I 0.333 0.667 0.421
I 0.667 0.333 0.921
O 0.090 0.749 0.261
O 0.251 0.340 0.261
O 0.340 0.090 0.761
O 0.660 0.910 0.261
O 0.749 0.660 0.761
O 0.910 0.251 0.761
CELL_PARAMETERS angstrom
5.540 0.000 0.000
-2.770 4.798 0.000
0.000 0.000 5.283
```

***

Material: LiIO5
Method: DFT, GGA-PBE
State: relaxed Values from VASP.

Results
Energy of formation (eV/atom): -0.720
V (A^3/atom): 14.562
Total magnetization (μB/f.u.): 2.0
Symmetry: No. 14
E (Ha/atom): -0.1563

Quantum ESPRESSO input file:
```
&SYSTEM
  ibrav = 0, nat = 28, ntyp = 3
/
ATOMIC_SPECIES
Li 6.94 Li.upf
I 126.90 I.upf
O 16.00 O.upf
ATOMIC_POSITIONS crystal
Li 0.217 0.035 0.222
Li 0.217 0.465 0.722
Li 0.783 0.535 0.278
Li 0.783 0.965 0.778
I 0.393 0.530 0.394
I 0.393 0.970 0.894
I 0.607 0.030 0.106
I 0.607 0.470 0.606
O 0.110 0.735 0.392
O 0.110 0.765 0.892
O 0.153 0.176 0.807
O 0.153 0.324 0.307
O 0.339 0.668 0.622
O 0.339 0.832 0.122
O 0.367 0.205 0.994
O 0.367 0.295 0.494
O 0.469 0.721 0.820
O 0.469 0.779 0.320
O 0.531 0.221 0.680
O 0.531 0.279 0.180
O 0.633 0.705 0.506
O 0.633 0.795 0.006
O 0.661 0.168 0.878
O 0.661 0.332 0.378
O 0.847 0.676 0.693
O 0.847 0.824 0.193
O 0.890 0.235 0.108
O 0.890 0.265 0.608
CELL_PARAMETERS angstrom
5.491 0.000 0.000
0.000 5.081 0.000
-5.455 0.000 14.615
```